Record 1
Below is CaAl2O4 after structural relaxation, with properties calculated at the PBE level.

Cell: 8.7828 8.2167 17.6533 Å, 90.00 119.60 90.00°
Last column: nearest neighbours and their distance in Å.
Element x y z (fractional)
Ca 0.0081 0.0455 0.2466  3 O 2.30-2.34
Ca 0.0081 0.4545 0.7466  3 O 2.30-2.34
Ca 0.3025 0.5320 0.5703  4 O 2.30-2.36
Ca 0.3025 0.9680 0.0703  4 O 2.30-2.36
Ca 0.3504 0.5348 0.0899  5 O 2.32-2.45
Ca 0.3504 0.9652 0.5899  5 O 2.32-2.45
Ca 0.6496 0.0348 0.4101  5 O 2.32-2.45
Ca 0.6496 0.4652 0.9101  5 O 2.32-2.45
Ca 0.6975 0.0320 0.9297  4 O 2.30-2.36
Ca 0.6975 0.4680 0.4297  4 O 2.30-2.36
Ca 0.9919 0.5455 0.2534  3 O 2.30-2.34
Ca 0.9919 0.9545 0.7534  3 O 2.30-2.34
Al 0.0209 0.6687 0.9220  4 O 1.77-1.79
Al 0.0209 0.8313 0.4220  4 O 1.77-1.79
Al 0.0325 0.2202 0.4206  4 O 1.76-1.78
Al 0.0325 0.2798 0.9206  4 O 1.76-1.78
Al 0.3133 0.6704 0.7380  4 O 1.77-1.78
Al 0.3133 0.8296 0.2380  4 O 1.77-1.78
Al 0.3155 0.2244 0.2327  4 O 1.77-1.78
Al 0.3155 0.2756 0.7327  4 O 1.77-1.78
Al 0.3465 0.1642 0.9076  4 O 1.77-1.79
Al 0.3465 0.3358 0.4076  4 O 1.77-1.79
Al 0.3463 0.7267 0.4092  4 O 1.77-1.79
Al 0.3463 0.7733 0.9092  4 O 1.77-1.79
Al 0.6537 0.2267 0.0908  4 O 1.77-1.79
Al 0.6537 0.2733 0.5908  4 O 1.77-1.79
Al 0.6535 0.6642 0.5924  4 O 1.77-1.79
Al 0.6535 0.8358 0.0924  4 O 1.77-1.79
Al 0.6845 0.7244 0.2673  4 O 1.77-1.78
Al 0.6845 0.7756 0.7673  4 O 1.77-1.78
Al 0.6867 0.1704 0.7620  4 O 1.77-1.78
Al 0.6867 0.3296 0.2620  4 O 1.77-1.78
Al 0.9675 0.7202 0.0794  4 O 1.76-1.78
Al 0.9675 0.7798 0.5794  4 O 1.76-1.78
Al 0.9791 0.1687 0.5780  4 O 1.77-1.79
Al 0.9791 0.3313 0.0780  4 O 1.77-1.79
O 0.0910 0.7401 0.5260  2 Al 1.78-1.79
O 0.0910 0.7599 0.0260  2 Al 1.78-1.79
O 0.1100 0.7273 0.1943  2 Al 1.77-1.78
O 0.1100 0.7727 0.6943  2 Al 1.77-1.78
O 0.1150 0.7270 0.3671  2 Al 1.77-1.79
O 0.1150 0.7730 0.8671  2 Al 1.77-1.79
O 0.1249 0.0237 0.4470  2 Al 1.76-1.77
O 0.1249 0.4763 0.9470  2 Al 1.76-1.77
O 0.2094 0.1453 0.6413  2 Al 1.77
O 0.2094 0.3547 0.1413  2 Al 1.77
O 0.2099 0.1434 0.9544  2 Al 1.77
O 0.2099 0.3566 0.4544  2 Al 1.77
O 0.2271 0.2435 0.3039  2 Al 1.77-1.78
O 0.2271 0.2565 0.8039  2 Al 1.77-1.78
O 0.2559 0.0254 0.1880  2 Al 1.78
O 0.2559 0.4746 0.6880  2 Al 1.78
O 0.4062 0.5320 0.3898  2 Al 1.77
O 0.4062 0.9680 0.8898  2 Al 1.77
O 0.4070 0.6361 0.8514  2 Al 1.77
O 0.4070 0.8639 0.3514  2 Al 1.77
O 0.4476 0.7399 0.0240  2 Al 1.79
O 0.4476 0.7601 0.5240  2 Al 1.79
O 0.4536 0.7447 0.2030  2 Al 1.77-1.78
O 0.4536 0.7553 0.7030  2 Al 1.77-1.78
O 0.5464 0.2447 0.2970  2 Al 1.77-1.78
O 0.5464 0.2553 0.7970  2 Al 1.77-1.78
O 0.5524 0.2399 0.4760  2 Al 1.79
O 0.5524 0.2601 0.9760  2 Al 1.79
O 0.5930 0.1361 0.6486  2 Al 1.77
O 0.5930 0.3639 0.1486  2 Al 1.77
O 0.5938 0.0320 0.1102  2 Al 1.77
O 0.5938 0.4680 0.6102  2 Al 1.77
O 0.7441 0.5254 0.3120  2 Al 1.78
O 0.7441 0.9746 0.8120  2 Al 1.78
O 0.7729 0.7435 0.1961  2 Al 1.77-1.78
O 0.7729 0.7565 0.6961  2 Al 1.77-1.78
O 0.7901 0.6434 0.5456  2 Al 1.77
O 0.7901 0.8566 0.0456  2 Al 1.77
O 0.7906 0.6453 0.8587  2 Al 1.77
O 0.7906 0.8547 0.3587  2 Al 1.77
O 0.8751 0.5237 0.0530  2 Al 1.76-1.77
O 0.8751 0.9763 0.5530  2 Al 1.76-1.77
O 0.8850 0.2270 0.1329  2 Al 1.77-1.79
O 0.8850 0.2730 0.6329  2 Al 1.77-1.79
O 0.8900 0.2273 0.3057  2 Al 1.77-1.78
O 0.8900 0.2727 0.8057  2 Al 1.77-1.78
O 0.9090 0.2401 0.9740  2 Al 1.78-1.79
O 0.9090 0.2599 0.4740  2 Al 1.78-1.79

E   -7.246 eV/atom
Calculated volume   13.19 A^3/atom
ΔE_f   -3.454 eV per atom
Corrected total energy (MP2020 scheme)   -7.64 eV/atom
Symmetry   P2_1/c



Record 2
Below is CaAl2O12 after structural relaxation, with properties calculated at the PBE level.

Cell: 14.1523 14.1523 9.2268 Å, 90.00 90.00 120.00°
Last column: nearest neighbours and their distance in Å.
Element x y z (fractional)
Ca 0.0878 0.7646 0.2500  2 O 2.12
Ca 0.2354 0.3233 0.2500  2 O 2.12
Ca 0.3233 0.0878 0.7500  2 O 2.12
Ca 0.6767 0.9122 0.2500  2 O 2.12
Ca 0.7646 0.6767 0.7500  2 O 2.12
Ca 0.9122 0.2354 0.7500  2 O 2.12
Al 0.0496 0.4333 0.0504  3 O 1.70-1.89
Al 0.0496 0.4333 0.4496  3 O 1.70-1.89
Al 0.3837 0.9504 0.0504  3 O 1.70-1.89
Al 0.3837 0.9504 0.4496  3 O 1.70-1.89
Al 0.4333 0.3837 0.5504  3 O 1.70-1.89
Al 0.4333 0.3837 0.9496  3 O 1.70-1.89
Al 0.5667 0.6163 0.0504  3 O 1.70-1.89
Al 0.5667 0.6163 0.4496  3 O 1.70-1.89
Al 0.6163 0.0496 0.5504  3 O 1.70-1.89
Al 0.6163 0.0496 0.9496  3 O 1.70-1.89
Al 0.9504 0.5667 0.5504  3 O 1.70-1.89
Al 0.9504 0.5667 0.9496  3 O 1.70-1.89
O 0.0015 0.6754 0.0634  1 Al 1.70
O 0.0015 0.6754 0.4366  1 Al 1.70
O 0.0241 0.9211 0.0324  2 O 1.45
O 0.0241 0.9211 0.4676  2 O 1.45
O 0.0410 0.4751 0.7500  2 O 1.47
O 0.0613 0.5420 0.6193  1 O 1.47
O 0.0613 0.5420 0.8807  1 O 1.47
O 0.0789 0.1030 0.0324  2 O 1.45
O 0.0789 0.1030 0.4676  2 O 1.45
O 0.0858 0.3497 0.1734  1 O 1.41
O 0.0858 0.3497 0.3266  1 O 1.41
O 0.1030 0.0241 0.5324  2 O 1.45
O 0.1030 0.0241 0.9676  2 O 1.45
O 0.1689 0.6152 0.2500  2 O 1.39
O 0.1704 0.5651 0.1209  1 O 1.39
O 0.1704 0.5651 0.3791  1 O 1.39
O 0.2639 0.9142 0.1734  1 O 1.41
O 0.2639 0.9142 0.3266  1 O 1.41
O 0.3246 0.3261 0.0634  1 Al 1.70
O 0.3246 0.3261 0.4366  1 Al 1.70
O 0.3261 0.0015 0.5634  1 Al 1.70
O 0.3261 0.0015 0.9366  1 Al 1.70
O 0.3497 0.2639 0.6734  1 O 1.41
O 0.3497 0.2639 0.8266  1 O 1.41
O 0.3848 0.5537 0.2500  2 O 1.39
O 0.3947 0.8296 0.1209  1 O 1.39
O 0.3947 0.8296 0.3791  1 O 1.39
O 0.4342 0.9590 0.7500  2 O 1.47
O 0.4349 0.6053 0.1209  1 O 1.39
O 0.4349 0.6053 0.3791  1 O 1.39
O 0.4463 0.8311 0.2500  2 O 1.39
O 0.4580 0.5193 0.6193  1 O 1.47
O 0.4580 0.5193 0.8807  1 O 1.47
O 0.4751 0.4342 0.2500  2 O 1.47
O 0.4807 0.9387 0.6193  1 O 1.47
O 0.4807 0.9387 0.8807  1 O 1.47
O 0.5193 0.0613 0.1193  1 O 1.47
O 0.5193 0.0613 0.3807  1 O 1.47
O 0.5249 0.5658 0.7500  2 O 1.47
O 0.5420 0.4807 0.1193  1 O 1.47
O 0.5420 0.4807 0.3807  1 O 1.47
O 0.5537 0.1689 0.7500  2 O 1.39
O 0.5651 0.3947 0.6209  1 O 1.39
O 0.5651 0.3947 0.8791  1 O 1.39
O 0.5658 0.0410 0.2500  2 O 1.47
O 0.6053 0.1704 0.6209  1 O 1.39
O 0.6053 0.1704 0.8791  1 O 1.39
O 0.6152 0.4463 0.7500  2 O 1.39
O 0.6503 0.7361 0.1734  1 O 1.41
O 0.6503 0.7361 0.3266  1 O 1.41
O 0.6739 0.9985 0.0634  1 Al 1.70
O 0.6739 0.9985 0.4366  1 Al 1.70
O 0.6754 0.6739 0.5634  1 Al 1.70
O 0.6754 0.6739 0.9366  1 Al 1.70
O 0.7361 0.0858 0.6734  1 O 1.41
O 0.7361 0.0858 0.8266  1 O 1.41
O 0.8296 0.4349 0.6209  1 O 1.39
O 0.8296 0.4349 0.8791  1 O 1.39
O 0.8311 0.3848 0.7500  2 O 1.39
O 0.8970 0.9759 0.0324  2 O 1.45
O 0.8970 0.9759 0.4676  2 O 1.45
O 0.9142 0.6503 0.6734  1 O 1.41
O 0.9142 0.6503 0.8266  1 O 1.41
O 0.9211 0.8970 0.5324  2 O 1.45
O 0.9211 0.8970 0.9676  2 O 1.45
O 0.9387 0.4580 0.1193  1 O 1.47
O 0.9387 0.4580 0.3807  1 O 1.47
O 0.9590 0.5249 0.2500  2 O 1.47
O 0.9759 0.0789 0.5324  2 O 1.45
O 0.9759 0.0789 0.9676  2 O 1.45
O 0.9985 0.3246 0.5634  1 Al 1.70
O 0.9985 0.3246 0.9366  1 Al 1.70

Total moment   1.9 μB/f.u.
E   -5.453 eV/atom
Calculated volume   17.78 A^3/atom
ΔE_f   -0.861 eV per atom
Symmetry   P6_3/m



Record 3
Below is Ca4Al6O13 after structural relaxation, with properties calculated at the PBE level.

Cell: 7.6859 7.6859 7.6859 Å, 109.47 109.47 109.47°
Last column: nearest neighbours and their distance in Å.
Element x y z (fractional)
Ca 0.0000 0.0000 0.6922  4 O 2.28-2.37
Ca 0.0000 0.6922 0.0000  4 O 2.28-2.37
Ca 0.3078 0.3078 0.3078  4 O 2.28-2.37
Ca 0.6922 0.0000 0.0000  4 O 2.28-2.37
Al 0.2500 0.5000 0.7500  4 O 1.77
Al 0.2500 0.7500 0.5000  4 O 1.77
Al 0.5000 0.2500 0.7500  4 O 1.77
Al 0.5000 0.7500 0.2500  4 O 1.77
Al 0.7500 0.2500 0.5000  4 O 1.77
Al 0.7500 0.5000 0.2500  4 O 1.77
O 0.0000 0.0000 0.0000  4 Ca 2.37
O 0.0000 0.4508 0.7298  2 Al 1.77
O 0.0000 0.7298 0.4508  2 Al 1.77
O 0.2702 0.2702 0.7210  2 Al 1.77
O 0.2702 0.7210 0.2702  2 Al 1.77
O 0.2790 0.5492 0.5492  2 Al 1.77
O 0.4508 0.0000 0.7298  2 Al 1.77
O 0.4508 0.7298 0.0000  2 Al 1.77
O 0.5492 0.2790 0.5492  2 Al 1.77
O 0.5492 0.5492 0.2790  2 Al 1.77
O 0.7210 0.2702 0.2702  2 Al 1.77
O 0.7298 0.0000 0.4508  2 Al 1.77
O 0.7298 0.4508 0.0000  2 Al 1.77

E   -7.171 eV/atom
Calculated volume   15.20 A^3/atom
ΔE_f   -3.437 eV per atom
Corrected total energy (MP2020 scheme)   -7.56 eV/atom
Symmetry   I-43m



Record 4
Below is Ca3Al2O6 after structural relaxation, with properties calculated at the PBE level.

Cell: 7.6678 7.6678 7.6678 Å, 90.00 90.00 90.00°
Last column: nearest neighbours and their distance in Å.
Element x y z (fractional)
Ca 0.0000 0.0000 0.0000  6 Al 3.83, 8 Ca 3.88, 24 O 4.24
Ca 0.2922 0.2922 0.2922  3 O 2.30
Ca 0.2922 0.2922 0.7078  3 O 2.30
Ca 0.2922 0.7078 0.2922  3 O 2.30
Ca 0.2922 0.7078 0.7078  3 O 2.30
Ca 0.7078 0.2922 0.2922  3 O 2.30
Ca 0.7078 0.2922 0.7078  3 O 2.30
Ca 0.7078 0.7078 0.2922  3 O 2.30
Ca 0.7078 0.7078 0.7078  3 O 2.30
Al 0.0000 0.0000 0.5000  4 O 1.82
Al 0.0000 0.5000 0.0000  4 O 1.82
Al 0.0000 0.5000 0.5000  2 O 1.79
Al 0.5000 0.0000 0.0000  4 O 1.82
Al 0.5000 0.0000 0.5000  2 O 1.79
Al 0.5000 0.5000 0.0000  2 O 1.79
O 0.0000 0.2373 0.5000  2 Al 1.82-2.01
O 0.0000 0.5000 0.2373  2 Al 1.82-2.01
O 0.0000 0.5000 0.7627  2 Al 1.82-2.01
O 0.0000 0.7627 0.5000  2 Al 1.82-2.01
O 0.2333 0.5000 0.5000  1 Al 1.79
O 0.2373 0.0000 0.5000  2 Al 1.82-2.01
O 0.2373 0.5000 0.0000  2 Al 1.82-2.01
O 0.5000 0.0000 0.2373  2 Al 1.82-2.01
O 0.5000 0.0000 0.7627  2 Al 1.82-2.01
O 0.5000 0.2333 0.5000  1 Al 1.79
O 0.5000 0.2373 0.0000  2 Al 1.82-2.01
O 0.5000 0.5000 0.2333  1 Al 1.79
O 0.5000 0.5000 0.7667  1 Al 1.79
O 0.5000 0.7627 0.0000  2 Al 1.82-2.01
O 0.5000 0.7667 0.5000  1 Al 1.79
O 0.7627 0.0000 0.5000  2 Al 1.82-2.01
O 0.7627 0.5000 0.0000  2 Al 1.82-2.01
O 0.7667 0.5000 0.5000  1 Al 1.79

Total moment   0.0 μB/f.u.
E   -6.413 eV/atom
Calculated volume   13.66 A^3/atom
ΔE_f   -2.861 eV per atom
Corrected total energy (MP2020 scheme)   -6.79 eV/atom
Symmetry   Pm-3m



Record 5
Below is Ca4Al6O13 after structural relaxation, with properties calculated at the PBE level.

Cell: 7.4712 7.4712 7.4712 Å, 109.47 109.47 109.47°
Last column: nearest neighbours and their distance in Å.
Element x y z (fractional)
Ca 0.0000 0.0000 0.6822  4 O 2.37-2.47
Ca 0.0000 0.6822 0.0000  4 O 2.37-2.47
Ca 0.3178 0.3178 0.3178  4 O 2.37-2.47
Ca 0.6822 0.0000 0.0000  4 O 2.37-2.47
Al 0.2500 0.5000 0.7500  4 O 1.76
Al 0.2500 0.7500 0.5000  4 O 1.76
Al 0.5000 0.2500 0.7500  4 O 1.76
Al 0.5000 0.7500 0.2500  4 O 1.76
Al 0.7500 0.2500 0.5000  4 O 1.76
Al 0.7500 0.5000 0.2500  4 O 1.76
O 0.0000 0.0000 0.0000  4 Ca 2.37
O 0.0000 0.2580 0.5444  2 Al 1.76
O 0.0000 0.5444 0.2580  2 Al 1.76
O 0.2580 0.0000 0.5444  2 Al 1.76
O 0.2580 0.5444 0.0000  2 Al 1.76
O 0.2865 0.7420 0.7420  2 Al 1.76
O 0.4556 0.4556 0.7135  2 Al 1.76
O 0.4556 0.7135 0.4556  2 Al 1.76
O 0.5444 0.0000 0.2580  2 Al 1.76
O 0.5444 0.2580 0.0000  2 Al 1.76
O 0.7135 0.4556 0.4556  2 Al 1.76
O 0.7420 0.2865 0.7420  2 Al 1.76
O 0.7420 0.7420 0.2865  2 Al 1.76

Total moment   0.0 μB/f.u.
E   -7.026 eV/atom
Calculated volume   13.96 A^3/atom
ΔE_f   -3.292 eV per atom
Corrected total energy (MP2020 scheme)   -7.41 eV/atom
Symmetry   I-43m



Record 6
Below is CaAl2O4 after structural relaxation, with properties calculated at the PBE level.

Cell: 5.6111 3.8072 7.1123 Å, 90.00 101.12 90.00°
Last column: nearest neighbours and their distance in Å.
Element x y z (fractional)
Ca 0.2317 0.2500 0.4280  7 O 2.35-2.51
Ca 0.7683 0.7500 0.5720  7 O 2.35-2.51
Al 0.1551 0.7500 0.1124  6 O 1.89-1.92
Al 0.3473 0.2500 0.8710  6 O 1.90-2.01
Al 0.6527 0.7500 0.1290  6 O 1.90-2.01
Al 0.8449 0.2500 0.8876  6 O 1.89-1.92
O 0.0443 0.2500 0.6967  2 Al 1.90-1.92
O 0.1427 0.2500 0.0745  4 Al 1.92-2.01
O 0.3587 0.7500 0.9288  4 Al 1.89-1.96
O 0.4414 0.7500 0.3074  2 Al 1.90-1.91
O 0.5586 0.2500 0.6926  2 Al 1.90-1.91
O 0.6413 0.2500 0.0712  4 Al 1.89-1.96
O 0.8573 0.7500 0.9255  4 Al 1.92-2.01
O 0.9557 0.7500 0.3033  2 Al 1.90-1.92

E   -7.228 eV/atom
Calculated volume   10.65 A^3/atom
ΔE_f   -3.437 eV per atom
Corrected total energy (MP2020 scheme)   -7.62 eV/atom
Symmetry   P2_1/m